Compound: Ti6CCl14
Source: Materials Project
Functional: PBE
Structure: relaxed

```
42
Lattice="6.782 -6.448 0.000 6.782 6.448 0.000 0.000 0.000 11.144" Properties=species:S:1:pos:R:3 pbc="T T T"
Ti 1.536 0.806 9.851
Ti 6.782 4.710 10.055
Ti 1.536 -0.806 1.293
Ti 5.246 0.806 6.865
Ti 6.782 1.738 4.483
Ti 5.246 -0.806 4.279
Ti 8.319 0.806 6.865
Ti 6.782 -1.738 6.661
Ti 8.319 -0.806 4.279
Ti 12.028 0.806 9.851
Ti 6.782 -4.710 1.089
Ti 12.028 -0.806 1.293
C 0.000 0.000 0.000
C 6.782 0.000 5.572
Cl 1.641 1.140 2.689
Cl 5.128 3.535 0.134
Cl 3.391 1.790 8.358
Cl 6.782 4.617 2.880
Cl 5.128 2.914 5.706
Cl 1.641 -1.140 8.454
Cl 3.357 0.000 0.000
Cl 3.425 0.000 5.572
Cl 5.141 1.140 2.883
Cl 8.437 3.535 0.134
Cl 6.782 1.831 8.452
Cl 3.391 -1.790 2.786
Cl 8.437 2.914 5.706
Cl 5.141 -1.140 8.261
Cl 8.423 1.140 2.883
Cl 5.128 -2.914 5.438
Cl 10.173 1.790 8.358
Cl 6.782 -1.831 2.691
Cl 5.128 -3.535 11.010
Cl 8.423 -1.140 8.261
Cl 10.139 0.000 5.572
Cl 10.207 0.000 0.000
Cl 11.923 1.140 2.689
Cl 8.437 -2.914 5.438
Cl 6.782 -4.617 8.263
Cl 10.173 -1.790 2.786
Cl 8.437 -3.535 11.010
Cl 11.923 -1.140 8.454
```


Compound: CdSi7N10
Source: Materials Project
Functional: PBE
Structure: relaxed

```
36
Lattice="6.813 0.000 0.000 0.000 6.848 0.000 -2.472 0.000 9.395" Properties=species:S:1:pos:R:3 pbc="T T T"
Cd 0.000 0.197 0.000
Cd -1.236 6.650 4.697
Si -1.393 2.737 8.158
Si -0.157 4.110 3.461
Si 1.613 2.623 1.671
Si 0.377 4.225 6.368
Si 0.435 0.158 7.678
Si 1.671 6.689 2.981
Si 2.123 2.532 4.526
Si 0.887 4.315 9.223
Si 3.441 0.133 1.149
Si 2.205 6.714 5.846
Si 2.590 2.509 7.396
Si 3.826 4.339 2.698
Si 5.546 2.629 0.946
Si 4.310 4.219 5.643
N -0.021 2.950 2.139
N -1.257 3.897 6.836
N -0.984 1.086 7.824
N 0.252 5.761 3.127
N 1.934 3.385 0.162
N 0.698 3.462 4.859
N 1.833 0.900 1.547
N 0.597 5.948 6.244
N 1.918 0.820 4.405
N 0.682 6.028 9.103
N 2.607 3.158 2.983
N 1.371 3.690 7.680
N 1.946 0.935 7.215
N 3.182 5.913 2.517
N 3.240 2.870 5.815
N 4.476 3.978 1.118
N 4.869 1.050 1.024
N 3.633 5.797 5.722
N 3.747 2.703 8.683
N 4.983 4.145 3.986
```


Compound: NaEuAsS4
Source: Materials Project
Functional: PBE
Structure: relaxed

```
14
Lattice="10.015 0.000 0.000 0.000 5.015 3.423 0.000 -5.015 3.423" Properties=species:S:1:pos:R:3 pbc="T T T"
Na 2.504 -3.156 3.423
Na 7.511 3.156 3.423
Eu 0.000 0.000 3.052
Eu 5.007 0.000 3.052
As 2.504 2.858 3.235
As 7.511 -2.858 3.235
S 0.678 2.857 1.991
S 2.504 -0.635 1.450
S 2.504 0.890 4.271
S 4.329 2.857 1.991
S 5.686 -2.857 1.991
S 7.511 0.635 1.450
S 7.511 -0.890 4.271
S 9.336 -2.857 1.991
```


Calculated energy of formation in order - -2.01 -1.07 -1.23 eV/atom
Calculated raw total energy in order - -0.203 -0.282 -0.207 hartree per atom